Entry 1:
# Li2TiCo3O8 | the Materials Project | GGA+U | optimized geometry
# DFT formation energy = -45.47 kcal/mol of atoms
# polymorph energy (0 for the lowest one) = 8 meV per atom
data_Li2TiCo3O8
_symmetry_space_group_name_H-M 'P 1'
_symmetry_Int_Tables_number 1
_cell_length_a 5.716
_cell_length_b 5.716
_cell_length_c 9.243
_cell_angle_alpha 90.03
_cell_angle_beta 90.03
_cell_angle_gamma 119.99
loop_
_symmetry_equiv_pos_as_xyz
'x,y,z'
loop_
_atom_site_label
_atom_site_fract_x
_atom_site_fract_y
_atom_site_fract_z
Li1 0.000 0.000 0.000
Li2 0.000 0.000 0.500
Li3 0.333 0.668 0.891
Li4 0.668 0.333 0.391
Ti1 0.326 0.659 0.499
Ti2 0.659 0.326 0.999
Co1 0.169 0.339 0.218
Co2 0.169 0.829 0.217
Co3 0.339 0.169 0.718
Co4 0.658 0.828 0.218
Co5 0.828 0.658 0.718
Co6 0.829 0.169 0.717
O1 0.039 0.519 0.339
O2 0.163 0.833 0.603
O3 0.166 0.333 0.601
O4 0.333 0.166 0.101
O5 0.335 0.667 0.113
O6 0.482 0.521 0.338
O7 0.482 0.961 0.338
O8 0.519 0.039 0.839
O9 0.521 0.482 0.838
O10 0.667 0.335 0.613
O11 0.670 0.832 0.603
O12 0.832 0.670 0.103
O13 0.833 0.163 0.103
O14 0.961 0.482 0.838
O15 0.996 0.998 0.310
O16 0.998 0.996 0.810

---

Entry 2:
# Fe2CoP3O12 | the Materials Project | GGA+U | optimized geometry
# DFT formation energy = -50.74 kcal/mol of atoms
data_Fe2CoP3O12
_symmetry_space_group_name_H-M 'P 1'
_symmetry_Int_Tables_number 1
_cell_length_a 8.422
_cell_length_b 8.422
_cell_length_c 8.422
_cell_angle_alpha 61.82
_cell_angle_beta 61.82
_cell_angle_gamma 61.82
loop_
_symmetry_equiv_pos_as_xyz
'x,y,z'
loop_
_atom_site_label
_atom_site_fract_x
_atom_site_fract_y
_atom_site_fract_z
Fe1 0.145 0.145 0.145
Fe2 0.355 0.355 0.355
Fe3 0.645 0.645 0.645
Fe4 0.855 0.855 0.855
Co1 0.000 0.000 0.000
Co2 0.500 0.500 0.500
P1 0.047 0.750 0.453
P2 0.250 0.547 0.953
P3 0.453 0.047 0.750
P4 0.547 0.953 0.250
P5 0.750 0.453 0.047
P6 0.953 0.250 0.547
O1 0.005 0.822 0.609
O2 0.061 0.905 0.251
O3 0.095 0.749 0.939
O4 0.109 0.322 0.505
O5 0.178 0.391 0.995
O6 0.249 0.595 0.439
O7 0.251 0.061 0.905
O8 0.322 0.505 0.109
O9 0.391 0.995 0.178
O10 0.405 0.561 0.751
O11 0.439 0.249 0.595
O12 0.495 0.891 0.678
O13 0.505 0.109 0.322
O14 0.561 0.751 0.405
O15 0.595 0.439 0.249
O16 0.609 0.005 0.822
O17 0.678 0.495 0.891
O18 0.749 0.939 0.095
O19 0.751 0.405 0.561
O20 0.822 0.609 0.005
O21 0.891 0.678 0.495
O22 0.905 0.251 0.061
O23 0.939 0.095 0.749
O24 0.995 0.178 0.391

---

Entry 3:
# Li8Mn7CoP12O48 | the Materials Project | GGA+U | optimized geometry
# DFT formation energy = -56.10 kcal/mol of atoms
data_Li8Mn7CoP12O48
_symmetry_space_group_name_H-M 'P 1'
_symmetry_Int_Tables_number 1
_cell_length_a 8.541
_cell_length_b 8.773
_cell_length_c 11.921
_cell_angle_alpha 89.81
_cell_angle_beta 89.86
_cell_angle_gamma 89.46
loop_
_symmetry_equiv_pos_as_xyz
'x,y,z'
loop_
_atom_site_label
_atom_site_fract_x
_atom_site_fract_y
_atom_site_fract_z
Li1 0.000 0.000 0.000
Li2 0.000 0.056 0.635
Li3 0.430 0.553 0.637
Li4 0.431 0.498 0.000
Li5 0.500 0.056 0.500
Li6 0.502 0.000 0.137
Li7 0.931 0.552 0.500
Li8 0.932 0.497 0.139
Mn1 0.462 0.739 0.431
Mn2 0.465 0.242 0.704
Mn3 0.465 0.311 0.204
Mn4 0.467 0.813 0.932
Mn5 0.963 0.741 0.705
Mn6 0.964 0.312 0.933
Mn7 0.968 0.813 0.204
Co1 0.968 0.242 0.434
P1 0.109 0.382 0.672
P2 0.110 0.671 0.966
P3 0.180 0.523 0.320
P4 0.249 0.026 0.320
P5 0.321 0.171 0.965
P6 0.321 0.882 0.670
P7 0.610 0.670 0.171
P8 0.612 0.383 0.463
P9 0.680 0.529 0.818
P10 0.751 0.025 0.818
P11 0.821 0.885 0.464
P12 0.823 0.172 0.174
O1 0.036 0.263 0.592
O2 0.037 0.794 0.045
O3 0.055 0.547 0.639
O4 0.058 0.512 0.000
O5 0.061 0.339 0.791
O6 0.061 0.716 0.847
O7 0.071 0.436 0.402
O8 0.072 0.614 0.237
O9 0.140 0.172 0.977
O10 0.140 0.879 0.660
O11 0.156 0.133 0.396
O12 0.159 0.917 0.243
O13 0.273 0.633 0.395
O14 0.275 0.419 0.243
O15 0.290 0.382 0.661
O16 0.291 0.674 0.976
O17 0.359 0.109 0.238
O18 0.359 0.935 0.403
O19 0.370 0.836 0.790
O20 0.371 0.215 0.847
O21 0.373 0.041 0.636
O22 0.375 0.008 0.998
O23 0.393 0.291 0.045
O24 0.394 0.758 0.591
O25 0.536 0.794 0.092
O26 0.537 0.265 0.544
O27 0.556 0.547 0.496
O28 0.557 0.511 0.138
O29 0.561 0.339 0.346
O30 0.561 0.716 0.291
O31 0.573 0.616 0.903
O32 0.574 0.446 0.736
O33 0.639 0.880 0.475
O34 0.641 0.173 0.161
O35 0.657 0.133 0.743
O36 0.657 0.917 0.895
O37 0.773 0.421 0.894
O38 0.775 0.637 0.742
O39 0.790 0.672 0.161
O40 0.792 0.381 0.475
O41 0.858 0.109 0.900
O42 0.860 0.936 0.734
O43 0.870 0.837 0.346
O44 0.872 0.218 0.291
O45 0.874 0.047 0.496
O46 0.875 0.009 0.139
O47 0.893 0.292 0.092
O48 0.894 0.762 0.545

---

Results for calculated total energy: -6.415, -6.938, -6.942 (in eV/atom, following the order of the records).